The following is a DFT calculation (PBE+U) of an optimized crystal structure of Ca3WO6.

Cell: 5.603 5.873 9.835 Å, 90.00 124.25 90.00°
Space group P2_1/c (No. 14)
Asymmetric unit:
Ca1 0.000 0.000 0.000 (multiplicity 2)
Ca2 0.226 0.055 0.742 (multiplicity 4)
W1 0.500 0.000 0.500 (multiplicity 2)
O1 0.165 0.176 0.450 (multiplicity 4)
O2 0.256 0.725 0.425 (multiplicity 4)
O3 0.392 0.058 0.275 (multiplicity 4)

Results
ΔE_f	-3.056	eV per atom
mass density	5.0	g/cm3


The following is a DFT calculation (PBE+U) of an optimized crystal structure of MgTi3V5O16.

Cell: 5.882 5.946 9.727 Å, 89.53 89.76 60.59°
Space group P1 (No. 1)
Asymmetric unit:
Mg1 0.000 0.000 0.000 (multiplicity 1)
Ti1 0.220 0.100 0.704 (multiplicity 1)
Ti2 0.349 0.762 0.238 (multiplicity 1)
Ti3 0.890 0.340 0.237 (multiplicity 1)
V1 0.150 0.628 0.721 (multiplicity 1)
V2 0.351 0.320 0.983 (multiplicity 1)
V3 0.674 0.166 0.701 (multiplicity 1)
V4 0.678 0.649 0.504 (multiplicity 1)
V5 0.781 0.874 0.243 (multiplicity 1)
O1 0.005 0.977 0.808 (multiplicity 1)
O2 0.008 0.001 0.319 (multiplicity 1)
O3 0.046 0.468 0.840 (multiplicity 1)
O4 0.159 0.174 0.103 (multiplicity 1)
O5 0.169 0.672 0.109 (multiplicity 1)
O6 0.332 0.312 0.609 (multiplicity 1)
O7 0.344 0.792 0.611 (multiplicity 1)
O8 0.481 0.025 0.832 (multiplicity 1)
O9 0.486 0.448 0.834 (multiplicity 1)
O10 0.514 0.955 0.352 (multiplicity 1)
O11 0.545 0.492 0.351 (multiplicity 1)
O12 0.664 0.669 0.133 (multiplicity 1)
O13 0.676 0.158 0.110 (multiplicity 1)
O14 0.828 0.818 0.613 (multiplicity 1)
O15 0.841 0.310 0.610 (multiplicity 1)
O16 0.972 0.532 0.350 (multiplicity 1)

Results
ΔE_f	-2.791	eV per atom
mass density	3.8	g/cm3


The following is a DFT calculation (PBE+U) of an optimized crystal structure of LiMn4O8.

Cell: 9.938 5.750 6.118 Å, 90.00 123.78 90.00°
Space group C2/m (No. 12)
Asymmetric unit:
Li1 0.000 0.000 0.000 (multiplicity 2)
Mn1 0.000 0.000 0.500 (multiplicity 2)
Mn2 0.000 0.500 0.500 (multiplicity 2)
Mn3 0.250 0.250 0.500 (multiplicity 4)
O1 0.017 0.246 0.303 (multiplicity 8)
O2 0.232 0.000 0.690 (multiplicity 4)
O3 0.236 0.500 0.697 (multiplicity 4)

Results
ΔE_f	-1.871	eV per atom
mass density	4.1	g/cm3


The following is a DFT calculation (PBE+U) of an optimized crystal structure of LiCr2O4.

Cell: 5.871 10.173 9.515 Å, 90.00 90.78 90.00°
Space group Cc (No. 9)
Asymmetric unit:
Li1 0.000 0.000 0.000 (multiplicity 4)
Li2 0.497 0.166 0.400 (multiplicity 4)
Cr1 0.002 0.332 0.487 (multiplicity 4)
Cr2 0.242 0.414 0.219 (multiplicity 4)
Cr3 0.249 0.084 0.714 (multiplicity 4)
Cr4 0.497 0.332 0.714 (multiplicity 4)
O1 0.001 0.001 0.315 (multiplicity 4)
O2 0.008 0.164 0.609 (multiplicity 4)
O3 0.214 0.256 0.342 (multiplicity 4)
O4 0.246 0.083 0.111 (multiplicity 4)
O5 0.257 0.413 0.608 (multiplicity 4)
O6 0.281 0.240 0.839 (multiplicity 4)
O7 0.491 0.021 0.842 (multiplicity 4)
O8 0.494 0.168 0.606 (multiplicity 4)

Results
ΔE_f	-2.244	eV per atom
mass density	4.1	g/cm3


The following is a DFT calculation (PBE+U) of an optimized crystal structure of Li7TiCr3P6O24.

Cell: 8.8734 8.8734 21.5115 Å, 90.00 90.00 120.00°
Space group R3 (No. 146, hexagonal axes)
Asymmetric unit:
Li1 0.0000 0.0000 0.0000 (multiplicity 3)
Li2 0.0232 0.5964 0.7506 (multiplicity 9)
Li3 0.0271 0.2312 0.5574 (multiplicity 9)
Ti1 0.0000 0.0000 0.6691 (multiplicity 3)
Cr1 0.0000 0.0000 0.1699 (multiplicity 3)
Cr2 0.0000 0.0000 0.3797 (multiplicity 3)
Cr3 0.0000 0.0000 0.8781 (multiplicity 3)
P1 0.0051 0.2943 0.7741 (multiplicity 9)
P2 0.0394 0.6683 0.9420 (multiplicity 9)
O1 0.0117 0.1921 0.7180 (multiplicity 9)
O2 0.0155 0.8291 0.9404 (multiplicity 9)
O3 0.0231 0.8185 0.2182 (multiplicity 9)
O4 0.1303 0.6786 0.0042 (multiplicity 9)
O5 0.1368 0.4496 0.5028 (multiplicity 9)
O6 0.1478 0.4786 0.1063 (multiplicity 9)
O7 0.1660 0.6844 0.2725 (multiplicity 9)
O8 0.1793 0.4733 0.7713 (multiplicity 9)

Results
ΔE_f	-2.650	eV per atom
mass density	2.8	g/cm3


The following is a DFT calculation (PBE+U) of an optimized crystal structure of Li5Ni5Sb2O12.

Cell: 5.216 9.142 10.023 Å, 90.00 100.96 90.00°
Space group C2 (No. 5)
Asymmetric unit:
Li1 0.000 0.000 0.000 (multiplicity 2)
Li2 0.248 0.839 0.243 (multiplicity 4)
Li3 0.249 0.992 0.755 (multiplicity 4)
Ni1 0.000 0.331 0.000 (multiplicity 2)
Ni2 0.000 0.502 0.500 (multiplicity 2)
Ni3 0.000 0.835 0.500 (multiplicity 2)
Ni4 0.249 0.164 0.247 (multiplicity 4)
Sb1 0.000 0.169 0.500 (multiplicity 2)
Sb2 0.000 0.664 0.000 (multiplicity 2)
O1 0.115 0.508 0.882 (multiplicity 4)
O2 0.118 0.668 0.380 (multiplicity 4)
O3 0.128 0.816 0.882 (multiplicity 4)
O4 0.129 0.004 0.376 (multiplicity 4)
O5 0.129 0.331 0.377 (multiplicity 4)
O6 0.140 0.170 0.882 (multiplicity 4)

Results
ΔE_f	-1.730	eV per atom
mass density	5.4	g/cm3


The following is a DFT calculation (PBE+U) of an optimized crystal structure of CaCrGe2O6.

Cell: 10.400 9.427 5.313 Å, 90.00 104.72 90.00°
Space group P2_1/c (No. 14)
Asymmetric unit:
Ca1 0.217 0.051 0.195 (multiplicity 4)
Cr1 0.271 0.658 0.248 (multiplicity 4)
Ge1 0.009 0.148 0.602 (multiplicity 4)
Ge2 0.450 0.152 0.788 (multiplicity 4)
O1 0.068 0.521 0.237 (multiplicity 4)
O2 0.098 0.250 0.412 (multiplicity 4)
O3 0.157 0.675 0.870 (multiplicity 4)
O4 0.349 0.019 0.620 (multiplicity 4)
O5 0.378 0.634 0.628 (multiplicity 4)
O6 0.397 0.192 0.083 (multiplicity 4)

Results
ΔE_f	-2.391	eV per atom
mass density	4.4	g/cm3


The following is a DFT calculation (PBE+U) of an optimized crystal structure of NdMo5O8.

Cell: 8.304 9.206 10.455 Å, 90.00 111.18 90.00°
Space group P2_1/c (No. 14)
Asymmetric unit:
Nd1 0.225 0.021 0.484 (multiplicity 4)
Mo1 0.101 0.123 0.815 (multiplicity 4)
Mo2 0.115 0.638 0.482 (multiplicity 4)
Mo3 0.291 0.645 0.284 (multiplicity 4)
Mo4 0.308 0.127 0.134 (multiplicity 4)
Mo5 0.493 0.123 0.925 (multiplicity 4)
O1 0.092 0.511 0.147 (multiplicity 4)
O2 0.095 0.000 0.143 (multiplicity 4)
O3 0.101 0.247 0.990 (multiplicity 4)
O4 0.121 0.709 0.834 (multiplicity 4)
O5 0.294 0.227 0.311 (multiplicity 4)
O6 0.315 0.733 0.105 (multiplicity 4)
O7 0.468 0.003 0.747 (multiplicity 4)
O8 0.489 0.239 0.584 (multiplicity 4)

Results
ΔE_f	-1.696	eV per atom
mass density	6.7	g/cm3


What did the fifth record say?
The following is a DFT calculation (PBE+U) of an optimized crystal structure of Li7TiCr3P6O24.

Cell: 8.8734 8.8734 21.5115 Å, 90.00 90.00 120.00°
Space group R3 (No. 146, hexagonal axes)
Asymmetric unit:
Li1 0.0000 0.0000 0.0000 (multiplicity 3)
Li2 0.0232 0.5964 0.7506 (multiplicity 9)
Li3 0.0271 0.2312 0.5574 (multiplicity 9)
Ti1 0.0000 0.0000 0.6691 (multiplicity 3)
Cr1 0.0000 0.0000 0.1699 (multiplicity 3)
Cr2 0.0000 0.0000 0.3797 (multiplicity 3)
Cr3 0.0000 0.0000 0.8781 (multiplicity 3)
P1 0.0051 0.2943 0.7741 (multiplicity 9)
P2 0.0394 0.6683 0.9420 (multiplicity 9)
O1 0.0117 0.1921 0.7180 (multiplicity 9)
O2 0.0155 0.8291 0.9404 (multiplicity 9)
O3 0.0231 0.8185 0.2182 (multiplicity 9)
O4 0.1303 0.6786 0.0042 (multiplicity 9)
O5 0.1368 0.4496 0.5028 (multiplicity 9)
O6 0.1478 0.4786 0.1063 (multiplicity 9)
O7 0.1660 0.6844 0.2725 (multiplicity 9)
O8 0.1793 0.4733 0.7713 (multiplicity 9)

Results
ΔE_f	-2.650	eV per atom
mass density	2.8	g/cm3